#a
Compound: PdSeO4
Source: the Materials Project database
Functional: PBE-GGA
Structure: optimized geometry

Results
* SG: No. 15

a = 5.054 Å, b = 5.054 Å, c = 8.200 Å
α = 85.87°, β = 85.87°, γ = 68.96°
Sites, in units of the cell vectors:
Pd1 0.000 0.500 0.500
Pd2 0.500 0.000 0.000
Se1 0.935 0.065 0.250
Se2 0.065 0.935 0.750
O1 0.076 0.266 0.716
O2 0.791 0.264 0.415
O3 0.209 0.736 0.585
O4 0.266 0.076 0.216
O5 0.734 0.924 0.784
O6 0.736 0.209 0.085
O7 0.264 0.791 0.915
O8 0.924 0.734 0.284

***

#b
Compound: PdSeO4
Source: the Materials Project database
Functional: PBE-GGA
Structure: optimized geometry

Results
* SG: No. 15

a = 5.123 Å, b = 5.123 Å, c = 7.910 Å
α = 83.32°, β = 83.32°, γ = 77.93°
Sites, in units of the cell vectors:
Pd1 0.000 0.500 0.500
Pd2 0.500 0.000 0.000
Se1 0.931 0.069 0.250
Se2 0.069 0.931 0.750
O1 0.114 0.252 0.710
O2 0.800 0.238 0.423
O3 0.200 0.762 0.577
O4 0.252 0.114 0.210
O5 0.748 0.886 0.790
O6 0.762 0.200 0.077
O7 0.238 0.800 0.923
O8 0.886 0.748 0.290

***

Least stable of them? #a.

***

#a
Compound: Mg14BiMo
Source: the Materials Project database
Functional: PBE-GGA
Structure: optimized geometry

Results
* SG: No. 187

a = 6.301 Å, b = 6.301 Å, c = 10.324 Å
α = 90.00°, β = 90.00°, γ = 120.00°
Sites, in units of the cell vectors:
Mg1 0.165 0.832 0.125
Mg2 0.167 0.833 0.625
Mg3 0.668 0.335 0.125
Mg4 0.667 0.333 0.625
Mg5 0.668 0.832 0.125
Mg6 0.667 0.833 0.625
Mg7 0.329 0.171 0.359
Mg8 0.329 0.171 0.891
Mg9 0.329 0.658 0.359
Mg10 0.329 0.658 0.891
Mg11 0.842 0.171 0.359
Mg12 0.842 0.171 0.891
Mg13 0.833 0.667 0.373
Mg14 0.833 0.667 0.877
Bi1 0.167 0.333 0.625
Mo1 0.167 0.333 0.125

***

#b
Compound: Mg14BiMo
Source: the Materials Project database
Functional: PBE-GGA
Structure: optimized geometry

Results
* SG: No. 38

a = 6.339 Å, b = 6.345 Å, c = 10.254 Å
α = 90.00°, β = 90.00°, γ = 120.03°
Sites, in units of the cell vectors:
Mg1 0.166 0.333 0.625
Mg2 0.168 0.834 0.625
Mg3 0.668 0.333 0.125
Mg4 0.667 0.332 0.625
Mg5 0.668 0.834 0.125
Mg6 0.667 0.834 0.625
Mg7 0.332 0.174 0.373
Mg8 0.332 0.174 0.877
Mg9 0.332 0.658 0.373
Mg10 0.332 0.658 0.877
Mg11 0.841 0.171 0.370
Mg12 0.841 0.171 0.880
Mg13 0.830 0.665 0.380
Mg14 0.830 0.665 0.870
Bi1 0.161 0.830 0.125
Mo1 0.168 0.334 0.125

***

Least stable of them? #b.

***

#a
Compound: CsHSO4
Source: the Materials Project database
Functional: PBE-GGA
Structure: optimized geometry

Results
* SG: No. 11

a = 5.946 Å, b = 5.603 Å, c = 7.297 Å
α = 79.84°, β = 90.00°, γ = 90.00°
Sites, in units of the cell vectors:
Cs1 0.250 0.986 0.715
Cs2 0.750 0.014 0.285
H1 0.500 0.500 0.000
H2 0.000 0.500 0.000
S1 0.750 0.454 0.759
S2 0.250 0.546 0.241
O1 0.457 0.622 0.117
O2 0.543 0.378 0.883
O3 0.750 0.313 0.611
O4 0.043 0.622 0.117
O5 0.957 0.378 0.883
O6 0.250 0.282 0.299
O7 0.250 0.687 0.389
O8 0.750 0.718 0.701

***

#b
Compound: CsHSO4
Source: the Materials Project database
Functional: PBE-GGA
Structure: optimized geometry

Results
* SG: No. 14

a = 6.017 Å, b = 8.503 Å, c = 11.320 Å
α = 59.64°, β = 90.00°, γ = 90.00°
Sites, in units of the cell vectors:
Cs1 0.242 0.712 0.651
Cs2 0.742 0.288 0.849
Cs3 0.758 0.288 0.349
Cs4 0.258 0.712 0.151
H1 0.988 0.968 0.780
H2 0.488 0.032 0.720
H3 0.012 0.032 0.220
H4 0.512 0.968 0.280
S1 0.737 0.757 0.896
S2 0.237 0.243 0.604
S3 0.263 0.243 0.104
S4 0.763 0.757 0.396
O1 0.748 0.701 0.793
O2 0.248 0.299 0.707
O3 0.252 0.299 0.207
O4 0.752 0.701 0.293
O5 0.743 0.611 0.038
O6 0.243 0.389 0.462
O7 0.257 0.389 0.962
O8 0.757 0.611 0.538
O9 0.548 0.885 0.868
O10 0.048 0.115 0.632
O11 0.452 0.115 0.132
O12 0.952 0.885 0.368
O13 0.958 0.871 0.880
O14 0.458 0.129 0.620
O15 0.042 0.129 0.120
O16 0.542 0.871 0.380

***

Least stable of them? #a.

***

#a
Compound: PrLuS3
Source: the Materials Project database
Functional: PBE-GGA
Structure: optimized geometry

Results
* SG: No. 63

a = 6.675 Å, b = 6.675 Å, c = 9.993 Å
α = 90.00°, β = 90.00°, γ = 146.93°
Sites, in units of the cell vectors:
Pr1 0.000 0.000 0.000
Pr2 0.000 0.000 0.500
Lu1 0.244 0.756 0.250
Lu2 0.756 0.244 0.750
S1 0.890 0.110 0.250
S2 0.110 0.890 0.750
S3 0.649 0.351 0.084
S4 0.351 0.649 0.584
S5 0.649 0.351 0.416
S6 0.351 0.649 0.916

***

#b
Compound: PrLuS3
Source: the Materials Project database
Functional: PBE-GGA
Structure: optimized geometry

Results
* SG: No. 63

a = 6.596 Å, b = 6.596 Å, c = 9.522 Å
α = 90.00°, β = 90.00°, γ = 145.68°
Sites, in units of the cell vectors:
Pr1 0.747 0.253 0.250
Pr2 0.253 0.747 0.750
Lu1 0.000 0.000 0.500
Lu2 0.000 0.000 0.000
S1 0.641 0.359 0.563
S2 0.641 0.359 0.937
S3 0.359 0.641 0.063
S4 0.359 0.641 0.437
S5 0.086 0.914 0.250
S6 0.914 0.086 0.750

***

Least stable of them? #a.

***

#a
Compound: H8PtO6
Source: the Materials Project database
Functional: PBE-GGA
Structure: optimized geometry

Results
* maximum piezoelectric response: 1.023 C/m²
* SG: No. 1

a = 5.573 Å, b = 5.578 Å, c = 7.337 Å
α = 87.97°, β = 87.11°, γ = 82.96°
Sites, in units of the cell vectors:
H1 0.601 0.926 0.826
H2 0.108 0.369 0.648
H3 0.865 0.246 0.744
H4 0.373 0.129 0.145
H5 0.522 0.852 0.153
H6 0.127 0.750 0.244
H7 0.159 0.478 0.339
H8 0.549 0.544 0.006
H9 0.424 0.461 0.511
H10 0.410 0.243 0.902
H11 0.755 0.608 0.620
H12 0.790 0.638 0.407
H13 0.146 0.829 0.797
H14 0.044 0.977 0.519
H15 0.972 0.043 0.020
H16 0.827 0.155 0.286
Pt1 0.492 0.015 0.497
Pt2 0.002 0.492 0.000
O1 0.583 0.080 0.750
O2 0.955 0.394 0.739
O3 0.400 0.964 0.231
O4 0.044 0.600 0.259
O5 0.661 0.671 0.001
O6 0.303 0.349 0.492
O7 0.346 0.325 0.017
O8 0.664 0.664 0.509
O9 0.130 0.809 0.934
O10 0.183 0.872 0.577
O11 0.863 0.183 0.078
O12 0.809 0.144 0.426

***

#b
Compound: H8PtO6
Source: the Materials Project database
Functional: PBE-GGA
Structure: optimized geometry

Results
* maximum piezoelectric response: 0.502 C/m²
* SG: No. 9

a = 5.603 Å, b = 5.603 Å, c = 7.312 Å
α = 86.63°, β = 86.63°, γ = 82.69°
Sites, in units of the cell vectors:
H1 0.871 0.626 0.848
H2 0.147 0.476 0.839
H3 0.380 0.132 0.648
H4 0.257 0.891 0.747
H5 0.132 0.380 0.148
H6 0.891 0.257 0.247
H7 0.476 0.147 0.339
H8 0.626 0.871 0.348
H9 0.755 0.607 0.092
H10 0.462 0.438 0.509
H11 0.438 0.462 0.009
H12 0.607 0.755 0.592
H13 0.946 0.029 0.983
H14 0.851 0.166 0.713
H15 0.166 0.851 0.213
H16 0.029 0.946 0.483
Pt1 0.004 0.498 0.504
Pt2 0.498 0.004 0.004
O1 0.035 0.596 0.765
O2 0.406 0.969 0.741
O3 0.969 0.406 0.241
O4 0.596 0.035 0.265
O5 0.666 0.663 0.982
O6 0.345 0.316 0.511
O7 0.316 0.345 0.011
O8 0.663 0.666 0.482
O9 0.810 0.139 0.926
O10 0.872 0.184 0.573
O11 0.184 0.872 0.073
O12 0.139 0.810 0.426

***

Least stable of them? #a.

***

#a
Compound: K2ZnH12S2O14
Source: the Materials Project database
Functional: PBE-GGA
Structure: optimized geometry

Results
* SG: No. 14

a = 12.415 Å, b = 6.872 Å, c = 10.330 Å
α = 67.34°, β = 90.00°, γ = 90.00°
Sites, in units of the cell vectors:
K1 0.723 0.348 0.833
K2 0.223 0.652 0.667
K3 0.277 0.652 0.167
K4 0.777 0.348 0.333
Zn1 0.500 0.000 0.500
Zn2 0.000 0.000 0.000
H1 0.100 0.054 0.748
H2 0.173 0.149 0.015
H3 0.600 0.946 0.752
H4 0.850 0.990 0.700
H5 0.958 0.558 0.849
H6 0.350 0.010 0.800
H7 0.024 0.600 0.229
H8 0.542 0.558 0.349
H9 0.476 0.600 0.729
H10 0.042 0.442 0.151
H11 0.756 0.029 0.590
H12 0.744 0.029 0.090
H13 0.673 0.851 0.485
H14 0.524 0.400 0.271
H15 0.400 0.054 0.248
H16 0.976 0.400 0.771
H17 0.150 0.010 0.300
H18 0.650 0.990 0.200
H19 0.244 0.971 0.410
H20 0.458 0.442 0.651
H21 0.327 0.149 0.515
H22 0.900 0.946 0.252
H23 0.827 0.851 0.985
H24 0.256 0.971 0.910
S1 0.114 0.307 0.523
S2 0.386 0.307 0.023
S3 0.886 0.693 0.477
S4 0.614 0.693 0.977
O1 0.923 0.490 0.791
O2 0.179 0.906 0.387
O3 0.077 0.510 0.209
O4 0.478 0.768 0.394
O5 0.410 0.854 0.286
O6 0.899 0.761 0.311
O7 0.101 0.239 0.689
O8 0.601 0.761 0.811
O9 0.679 0.094 0.113
O10 0.850 0.987 0.987
O11 0.821 0.094 0.613
O12 0.350 0.013 0.513
O13 0.590 0.146 0.714
O14 0.423 0.510 0.709
O15 0.321 0.906 0.887
O16 0.978 0.232 0.106
O17 0.272 0.383 0.983
O18 0.022 0.768 0.894
O19 0.772 0.617 0.517
O20 0.399 0.239 0.189
O21 0.228 0.383 0.483
O22 0.577 0.490 0.291
O23 0.150 0.013 0.013
O24 0.728 0.617 0.017
O25 0.090 0.854 0.786
O26 0.650 0.987 0.487
O27 0.522 0.232 0.606
O28 0.910 0.146 0.214

***

#b
Compound: K2ZnH12S2O14
Source: the Materials Project database
Functional: PBE-GGA
Structure: optimized geometry

Results
* SG: No. 14

a = 11.942 Å, b = 7.289 Å, c = 9.826 Å
α = 71.70°, β = 90.00°, γ = 90.00°
Sites, in units of the cell vectors:
K1 0.686 0.354 0.820
K2 0.186 0.646 0.680
K3 0.314 0.646 0.180
K4 0.814 0.354 0.320
Zn1 0.500 0.000 0.500
Zn2 0.000 0.000 0.000
H1 0.129 0.112 0.716
H2 0.203 0.301 0.970
H3 0.629 0.888 0.784
H4 0.870 0.944 0.672
H5 0.948 0.628 0.838
H6 0.370 0.056 0.828
H7 0.043 0.584 0.165
H8 0.552 0.628 0.338
H9 0.457 0.584 0.665
H10 0.052 0.372 0.162
H11 0.770 0.077 0.604
H12 0.730 0.077 0.104
H13 0.703 0.699 0.530
H14 0.543 0.416 0.335
H15 0.371 0.112 0.216
H16 0.957 0.416 0.835
H17 0.130 0.056 0.328
H18 0.630 0.944 0.172
H19 0.230 0.923 0.396
H20 0.448 0.372 0.662
H21 0.297 0.301 0.470
H22 0.871 0.888 0.284
H23 0.797 0.699 0.030
H24 0.270 0.923 0.896
S1 0.114 0.330 0.503
S2 0.386 0.330 0.003
S3 0.886 0.670 0.497
S4 0.614 0.670 0.997
O1 0.948 0.549 0.771
O2 0.156 0.925 0.346
O3 0.052 0.451 0.229
O4 0.518 0.761 0.445
O5 0.397 0.726 0.442
O6 0.884 0.749 0.317
O7 0.116 0.251 0.683
O8 0.616 0.749 0.817
O9 0.656 0.075 0.154
O10 0.848 0.119 0.011
O11 0.844 0.075 0.654
O12 0.348 0.881 0.489
O13 0.603 0.274 0.558
O14 0.448 0.451 0.729
O15 0.344 0.925 0.846
O16 0.018 0.239 0.055
O17 0.255 0.408 0.962
O18 0.982 0.761 0.945
O19 0.755 0.592 0.538
O20 0.384 0.251 0.183
O21 0.245 0.408 0.462
O22 0.552 0.549 0.271
O23 0.152 0.881 0.989
O24 0.745 0.592 0.038
O25 0.103 0.726 0.942
O26 0.652 0.119 0.511
O27 0.482 0.239 0.555
O28 0.897 0.274 0.058

***

Least stable of them? #b.

***

#a
Compound: Li2PtO6
Source: the Materials Project database
Functional: PBE-GGA
Structure: optimized geometry

Results
* SG: No. 12

a = 5.514 Å, b = 5.514 Å, c = 3.800 Å
α = 82.51°, β = 82.51°, γ = 114.21°
Sites, in units of the cell vectors:
Li1 0.652 0.348 0.000
Li2 0.348 0.652 0.000
Pt1 0.000 0.000 0.000
O1 0.765 0.107 0.682
O2 0.107 0.765 0.682
O3 0.321 0.321 0.804
O4 0.235 0.893 0.318
O5 0.893 0.235 0.318
O6 0.679 0.679 0.196

***

#b
Compound: Li2PtO6
Source: the Materials Project database
Functional: PBE-GGA
Structure: optimized geometry

Results
* SG: No. 162

a = 5.373 Å, b = 5.373 Å, c = 3.851 Å
α = 90.00°, β = 90.00°, γ = 120.00°
Sites, in units of the cell vectors:
Li1 0.333 0.667 0.000
Li2 0.667 0.333 0.000
Pt1 0.000 0.000 0.000
O1 0.701 0.000 0.724
O2 0.299 0.299 0.724
O3 0.000 0.701 0.724
O4 0.299 0.000 0.276
O5 0.701 0.701 0.276
O6 0.000 0.299 0.276

***

Least stable of them? #b.